Entry 1:
TaPb2N3: relaxed, GGA-PBE.

a = 6.4562 Å, b = 11.3112 Å, c = 13.2493 Å
α = 90.00°, β = 89.88°, γ = 151.16°
Last column: nearest neighbours and their distance in Å.
Element x y z (fractional)
Ta (0.4888, 0.7472, 0.3364)  4 N 1.96-1.98
N (0.6064, 0.9182, 0.9428)  1 Ta 1.98
N (0.0000, 0.0080, 0.2500)  2 Ta 1.96
Pb (0.4290, 0.8902, 0.1134)  3 N 2.42-2.48
N (0.0000, 0.4617, 0.2500)  2 Ta 1.96
Pb (0.5710, 0.4612, 0.3866)  3 N 2.42-2.48
Ta (0.5112, 0.2584, 0.1636)  4 N 1.96-1.98
N (0.6064, 0.6882, 0.4428)  1 Ta 1.98
N (0.0000, 0.5383, 0.7500)  2 Ta 1.96
Pb (0.5693, 0.6546, 0.0809)  3 N 2.46-2.59
N (0.0000, 0.9920, 0.7500)  2 Ta 1.96
Ta (0.4888, 0.7416, 0.8364)  4 N 1.96-1.98
N (0.6450, 0.1681, 0.5972)  1 Ta 1.97
Pb (0.4307, 0.0852, 0.4191)  3 N 2.46-2.59
N (0.6450, 0.4768, 0.0972)  1 Ta 1.97
N (0.3550, 0.8319, 0.4028)  1 Ta 1.97
Pb (0.4290, 0.5388, 0.6134)  3 N 2.42-2.48
N (0.3936, 0.0818, 0.0572)  1 Ta 1.98
Pb (0.5710, 0.1098, 0.8866)  3 N 2.42-2.48
Pb (0.4307, 0.3454, 0.9191)  3 N 2.46-2.59
N (0.3550, 0.5232, 0.9028)  1 Ta 1.97
N (0.3936, 0.3118, 0.5572)  1 Ta 1.98
Pb (0.5693, 0.9148, 0.5809)  3 N 2.46-2.59
Ta (0.5112, 0.2528, 0.6636)  4 N 1.96-1.98

Energy of formation: -0.32 eV/atom
Total moment: 0.00 μB/f.u.
Crystal system: monoclinic

***

Entry 2:
LiB11: relaxed, GGA-PBE.

a = 4.9233 Å, b = 4.9233 Å, c = 4.9233 Å
α = 60.00°, β = 60.00°, γ = 60.00°
Last column: nearest neighbours and their distance in Å.
Element x y z (fractional)
B (0.0000, 0.0000, 0.0000)  4 B 1.77
B (0.6974, 0.3026, 0.6974)  6 B 1.81-1.94
Li (0.2500, 0.2500, 0.2500)  12 B 2.49
B (0.8536, 0.4392, 0.8536)  4 B 1.77-1.81
B (0.3026, 0.6974, 0.6974)  6 B 1.81-1.94
B (0.4392, 0.8536, 0.8536)  4 B 1.77-1.81
B (0.8536, 0.8536, 0.4392)  4 B 1.77-1.81
B (0.6974, 0.6974, 0.3026)  6 B 1.81-1.94
B (0.3026, 0.6974, 0.3026)  6 B 1.81-1.94
B (0.6974, 0.3026, 0.3026)  6 B 1.81-1.94
B (0.3026, 0.3026, 0.6974)  6 B 1.81-1.94
B (0.8536, 0.8536, 0.8536)  4 B 1.77-1.81

Energy of formation: 0.80 eV/atom
Total moment: 0.00 μB/f.u.
Crystal system: cubic

***

What did the first record say?
TaPb2N3: relaxed, GGA-PBE.

a = 6.4562 Å, b = 11.3112 Å, c = 13.2493 Å
α = 90.00°, β = 89.88°, γ = 151.16°
Last column: nearest neighbours and their distance in Å.
Element x y z (fractional)
Ta (0.4888, 0.7472, 0.3364)  4 N 1.96-1.98
N (0.6064, 0.9182, 0.9428)  1 Ta 1.98
N (0.0000, 0.0080, 0.2500)  2 Ta 1.96
Pb (0.4290, 0.8902, 0.1134)  3 N 2.42-2.48
N (0.0000, 0.4617, 0.2500)  2 Ta 1.96
Pb (0.5710, 0.4612, 0.3866)  3 N 2.42-2.48
Ta (0.5112, 0.2584, 0.1636)  4 N 1.96-1.98
N (0.6064, 0.6882, 0.4428)  1 Ta 1.98
N (0.0000, 0.5383, 0.7500)  2 Ta 1.96
Pb (0.5693, 0.6546, 0.0809)  3 N 2.46-2.59
N (0.0000, 0.9920, 0.7500)  2 Ta 1.96
Ta (0.4888, 0.7416, 0.8364)  4 N 1.96-1.98
N (0.6450, 0.1681, 0.5972)  1 Ta 1.97
Pb (0.4307, 0.0852, 0.4191)  3 N 2.46-2.59
N (0.6450, 0.4768, 0.0972)  1 Ta 1.97
N (0.3550, 0.8319, 0.4028)  1 Ta 1.97
Pb (0.4290, 0.5388, 0.6134)  3 N 2.42-2.48
N (0.3936, 0.0818, 0.0572)  1 Ta 1.98
Pb (0.5710, 0.1098, 0.8866)  3 N 2.42-2.48
Pb (0.4307, 0.3454, 0.9191)  3 N 2.46-2.59
N (0.3550, 0.5232, 0.9028)  1 Ta 1.97
N (0.3936, 0.3118, 0.5572)  1 Ta 1.98
Pb (0.5693, 0.9148, 0.5809)  3 N 2.46-2.59
Ta (0.5112, 0.2528, 0.6636)  4 N 1.96-1.98

Energy of formation: -0.32 eV/atom
Total moment: 0.00 μB/f.u.
Crystal system: monoclinic

***

Which formula does entry 1 have?
TaPb2N3

***

Which formula does entry 1 have?
TaPb2N3